Here is a relaxed Ge2Sb2Te5 crystal from the Materials Project database. Energies are from PBE.

total energy after the MP2020 corrections = -3.985 eV/atom
V = 31.908 Å³ per atom
formation enthalpy at 0 K = -28 kJ per mole of atoms

a = 7.495 Å, b = 7.495 Å, c = 9.672 Å
α = 130.12°, β = 130.12°, γ = 48.29°
Fractional positions:
Ge1 0.000 0.000 0.000
Ge2 0.213 0.213 0.823
Sb1 0.617 0.617 0.400
Sb2 0.828 0.828 0.230
Te1 0.116 0.116 0.409
Te2 0.310 0.310 0.199
Te3 0.511 0.511 0.008
Te4 0.724 0.724 0.819
Te5 0.922 0.922 0.622



Here is a relaxed HgP2Xe5F22 crystal from the Materials Project database. Energies are from PBE.

total energy after the MP2020 corrections = -3.523 eV/atom
V = 19.655 Å³ per atom
formation enthalpy at 0 K = -168 kJ per mole of atoms

a = 8.783 Å, b = 17.904 Å, c = 14.998 Å
α = 90.00°, β = 90.00°, γ = 90.00°
Fractional positions:
Hg1 0.250 0.250 0.076
Hg2 0.250 0.250 0.576
Hg3 0.750 0.750 0.424
Hg4 0.750 0.750 0.924
P1 0.009 0.625 0.276
P2 0.009 0.875 0.776
P3 0.491 0.625 0.776
P4 0.491 0.875 0.276
P5 0.509 0.125 0.724
P6 0.509 0.375 0.224
P7 0.991 0.125 0.224
P8 0.991 0.375 0.724
Xe1 0.006 0.127 0.764
Xe2 0.006 0.373 0.264
Xe3 0.221 0.037 0.475
Xe4 0.221 0.463 0.975
Xe5 0.250 0.750 0.009
Xe6 0.250 0.750 0.509
Xe7 0.279 0.037 0.975
Xe8 0.279 0.463 0.475
Xe9 0.494 0.127 0.264
Xe10 0.494 0.373 0.764
Xe11 0.506 0.627 0.236
Xe12 0.506 0.873 0.736
Xe13 0.721 0.537 0.525
Xe14 0.721 0.963 0.025
Xe15 0.750 0.250 0.491
Xe16 0.750 0.250 0.991
Xe17 0.779 0.537 0.025
Xe18 0.779 0.963 0.525
Xe19 0.994 0.627 0.736
Xe20 0.994 0.873 0.236
F1 0.013 0.743 0.012
F2 0.013 0.757 0.512
F3 0.019 0.125 0.116
F4 0.019 0.375 0.616
F5 0.032 0.625 0.168
F6 0.032 0.875 0.668
F7 0.082 0.593 0.618
F8 0.082 0.907 0.118
F9 0.097 0.159 0.636
F10 0.097 0.341 0.136
F11 0.122 0.192 0.233
F12 0.122 0.308 0.733
F13 0.126 0.062 0.235
F14 0.126 0.438 0.735
F15 0.135 0.559 0.287
F16 0.135 0.941 0.787
F17 0.140 0.688 0.287
F18 0.140 0.812 0.787
F19 0.159 0.573 0.971
F20 0.159 0.927 0.471
F21 0.224 0.152 0.971
F22 0.224 0.348 0.471
F23 0.276 0.152 0.471
F24 0.276 0.348 0.971
F25 0.341 0.573 0.471
F26 0.341 0.927 0.971
F27 0.360 0.688 0.787
F28 0.360 0.812 0.287
F29 0.365 0.559 0.787
F30 0.365 0.941 0.287
F31 0.374 0.062 0.735
F32 0.374 0.438 0.235
F33 0.378 0.192 0.733
F34 0.378 0.308 0.233
F35 0.403 0.159 0.136
F36 0.403 0.341 0.636
F37 0.418 0.593 0.118
F38 0.418 0.907 0.618
F39 0.468 0.625 0.668
F40 0.468 0.875 0.168
F41 0.481 0.125 0.616
F42 0.481 0.375 0.116
F43 0.487 0.743 0.512
F44 0.487 0.757 0.012
F45 0.513 0.243 0.988
F46 0.513 0.257 0.488
F47 0.519 0.625 0.884
F48 0.519 0.875 0.384
F49 0.532 0.125 0.832
F50 0.532 0.375 0.332
F51 0.582 0.093 0.382
F52 0.582 0.407 0.882
F53 0.597 0.659 0.364
F54 0.597 0.841 0.864
F55 0.622 0.692 0.767
F56 0.622 0.808 0.267
F57 0.626 0.562 0.765
F58 0.626 0.938 0.265
F59 0.635 0.059 0.713
F60 0.635 0.441 0.213
F61 0.640 0.188 0.713
F62 0.640 0.312 0.213
F63 0.659 0.073 0.029
F64 0.659 0.427 0.529
F65 0.724 0.652 0.029
F66 0.724 0.848 0.529
F67 0.776 0.652 0.529
F68 0.776 0.848 0.029
F69 0.841 0.073 0.529
F70 0.841 0.427 0.029
F71 0.860 0.188 0.213
F72 0.860 0.312 0.713
F73 0.865 0.059 0.213
F74 0.865 0.441 0.713
F75 0.874 0.562 0.265
F76 0.874 0.938 0.765
F77 0.878 0.692 0.267
F78 0.878 0.808 0.767
F79 0.903 0.659 0.864
F80 0.903 0.841 0.364
F81 0.918 0.093 0.882
F82 0.918 0.407 0.382
F83 0.968 0.125 0.332
F84 0.968 0.375 0.832
F85 0.981 0.625 0.384
F86 0.981 0.875 0.884
F87 0.987 0.243 0.488
F88 0.987 0.257 0.988